# 1
## CaNdCrO4 (PBE with a Hubbard U)

Data for a relaxed structure of CaNdCrO4.

Geometry as POSCAR:
```
CaNdCrO4
1.0
-3.648 -3.727 3.997
-3.559 -5.390 -1.207
4.446 -3.211 1.102
O Ca Cr Nd
8 2 2 2
direct
0.766 0.276 0.756
0.670 0.670 0.435
0.830 0.830 0.941
0.234 0.724 0.244
0.276 0.766 0.756
0.330 0.330 0.565
0.724 0.234 0.244
0.170 0.170 0.059
0.143 0.143 0.486
0.857 0.857 0.514
0.500 0.500 0.500
0.000 0.000 0.000
0.642 0.642 0.021
0.358 0.358 0.979
```

Output
Symmetry: C2/m, No. 12
Energy of formation from the pure elements, eV per formula unit: -22.04
Distance to the lowest polymorph of the same formula, meV/atom: 0.0
V, Å³/atom: 13.047
Total energy after the MP2020 corrections, eV per atom: -8.322
Crystal system: monoclinic
Energy, eV per atom: -7.644

# 2
## FeOF (PBE with a Hubbard U)

Data for a relaxed structure of FeOF.

Geometry as POSCAR:
```
FeOF
1.0
3.097 0.000 0.000
0.000 14.141 0.000
0.000 0.047 14.247
O Fe F
18 18 18
direct
0.000 0.232 0.772
0.500 0.603 0.602
0.000 0.234 0.433
0.000 0.565 0.768
0.500 0.935 0.271
0.000 0.565 0.436
0.500 0.269 0.602
0.500 0.271 0.264
0.000 0.565 0.102
0.000 0.233 0.097
0.000 0.765 0.903
0.500 0.932 0.601
0.000 0.898 0.443
0.500 0.607 0.272
0.500 0.939 0.932
0.500 0.057 0.728
0.500 0.596 0.938
0.000 0.899 0.102
0.000 0.327 0.004
0.000 0.658 0.994
0.500 0.159 0.812
0.500 0.181 0.496
0.500 0.846 0.165
0.500 0.847 0.503
0.500 0.826 0.850
0.500 0.513 0.499
0.000 0.987 0.997
0.500 0.178 0.165
0.000 0.993 0.664
0.500 0.521 0.167
0.000 0.982 0.337
0.000 0.657 0.664
0.000 0.320 0.666
0.000 0.323 0.329
0.500 0.515 0.830
0.000 0.659 0.335
0.000 0.427 0.902
0.500 0.270 0.936
0.000 0.105 0.902
0.000 0.435 0.231
0.500 0.400 0.397
0.500 0.067 0.397
0.000 0.771 0.568
0.000 0.102 0.560
0.500 0.399 0.734
0.000 0.104 0.228
0.500 0.732 0.071
0.500 0.068 0.066
0.500 0.734 0.731
0.000 0.891 0.770
0.000 0.769 0.234
0.500 0.738 0.403
0.500 0.398 0.062
0.000 0.434 0.566
```

Output
Symmetry: Pm, No. 6
Energy of formation from the pure elements, eV per formula unit: -6.11
V, Å³/atom: 11.557
Total energy after the MP2020 corrections, eV per atom: -7.146
Crystal system: monoclinic
Energy, eV per atom: -6.011

# 3
## MgUMo4O16 (PBE with a Hubbard U)

Data for a relaxed structure of MgUMo4O16.

Geometry as POSCAR:
```
MgUMo4O16
1.0
-3.293 -1.385 5.582
0.315 -7.781 -1.745
10.375 -8.588 3.988
O U Mo Mg
32 2 8 2
direct
0.847 0.813 0.434
0.848 0.087 0.904
0.430 0.875 0.372
0.843 0.590 0.904
0.433 0.631 0.132
0.567 0.631 0.632
0.702 0.231 0.252
0.057 0.500 0.250
0.847 0.187 0.066
0.848 0.913 0.596
0.433 0.369 0.368
0.157 0.410 0.096
0.570 0.125 0.628
0.152 0.087 0.404
0.567 0.369 0.868
0.430 0.125 0.128
0.842 0.317 0.432
0.152 0.913 0.096
0.298 0.231 0.752
0.298 0.769 0.748
0.158 0.317 0.932
0.570 0.875 0.872
0.158 0.683 0.568
0.943 0.500 0.750
0.942 0.000 0.750
0.058 0.000 0.250
0.157 0.590 0.404
0.842 0.683 0.068
0.843 0.410 0.596
0.702 0.769 0.248
0.153 0.813 0.934
0.153 0.187 0.566
0.705 0.000 0.250
0.295 0.000 0.750
0.178 0.687 0.099
0.171 0.803 0.411
0.171 0.197 0.089
0.829 0.803 0.911
0.822 0.687 0.599
0.822 0.313 0.901
0.178 0.313 0.401
0.829 0.197 0.589
0.298 0.500 0.750
0.702 0.500 0.250
```

Output
Symmetry: P2/c, No. 13
Energy of formation from the pure elements, eV per formula unit: -51.96
V, Å³/atom: 13.953
Total energy after the MP2020 corrections, eV per atom: -8.518
Crystal system: monoclinic
Energy, eV per atom: -7.437

# 4
## BaNdFeSnO6 (PBE with a Hubbard U)

Data for a relaxed structure of BaNdFeSnO6.

Geometry as POSCAR:
```
BaNdFeSnO6
1.0
5.629 0.841 0.822
2.502 4.802 -1.936
1.796 4.005 3.715
O Nd Ba Fe Sn
6 1 1 1 1
direct
0.753 0.247 0.753
0.247 0.753 0.753
0.753 0.247 0.247
0.247 0.247 0.753
0.753 0.753 0.247
0.247 0.753 0.247
0.750 0.750 0.750
0.250 0.250 0.250
0.000 0.000 0.000
0.500 0.500 0.500
```

Output
Symmetry: F-43m, No. 216
Energy of formation from the pure elements, eV per formula unit: -25.55
V, Å³/atom: 13.445
Total energy after the MP2020 corrections, eV per atom: -7.440
Crystal system: cubic
Energy, eV per atom: -6.803

Question: energy of formation from the pure elements of number 2 (FeOF)?
Answer: -6.11 eV per formula unit

Repeat the first record exactly.
## CaNdCrO4 (PBE with a Hubbard U)

Data for a relaxed structure of CaNdCrO4.

Geometry as POSCAR:
```
CaNdCrO4
1.0
-3.648 -3.727 3.997
-3.559 -5.390 -1.207
4.446 -3.211 1.102
O Ca Cr Nd
8 2 2 2
direct
0.766 0.276 0.756
0.670 0.670 0.435
0.830 0.830 0.941
0.234 0.724 0.244
0.276 0.766 0.756
0.330 0.330 0.565
0.724 0.234 0.244
0.170 0.170 0.059
0.143 0.143 0.486
0.857 0.857 0.514
0.500 0.500 0.500
0.000 0.000 0.000
0.642 0.642 0.021
0.358 0.358 0.979
```

Output
Symmetry: C2/m, No. 12
Energy of formation from the pure elements, eV per formula unit: -22.04
Distance to the lowest polymorph of the same formula, meV/atom: 0.0
V, Å³/atom: 13.047
Total energy after the MP2020 corrections, eV per atom: -8.322
Crystal system: monoclinic
Energy, eV per atom: -7.644

Question: The highest energy belongs to which entry?
Answer: FeOF